Li4Mn5V3O16: optimized geometry, GGA+U.

Computed properties:
Size of the total moment in μB/f.u.: 22.00
ΔE_f in meV per atom: -2240

```
data_Li4Mn5V3O16
_chemical_formula_sum 'Li4 Mn5 V3 O16'
_space_group_name_H-M_alt 'P 1'
_space_group_IT_number 1
_cell_length_a 5.798
_cell_length_b 5.964
_cell_length_c 9.656
_cell_angle_alpha 89.82
_cell_angle_beta 91.35
_cell_angle_gamma 118.36
loop_
_space_group_symop_operation_xyz
'x,y,z'
loop_
_atom_site_label
_atom_site_type_symbol
_atom_site_fract_x
_atom_site_fract_y
_atom_site_fract_z
_atom_site_occupancy
O1 O 0.471 0.514 0.844 1
O2 O 0.325 0.180 0.604 1
O3 O 0.511 0.467 0.339 1
O4 O 0.994 0.985 0.310 1
O5 O 0.661 0.788 0.098 1
O6 O 0.857 0.707 0.608 1
O7 O 0.663 0.317 0.106 1
O8 O 0.964 0.498 0.342 1
O9 O 0.847 0.197 0.598 1
O10 O 0.482 0.978 0.827 1
O11 O 0.044 0.535 0.837 1
O12 O 0.330 0.670 0.609 1
O13 O 0.160 0.815 0.104 1
O14 O 0.011 0.032 0.809 1
O15 O 0.513 0.028 0.331 1
O16 O 0.156 0.288 0.105 1
Mn1 Mn 0.171 0.357 0.714 1
Mn2 Mn 0.669 0.844 0.714 1
Mn3 Mn 0.830 0.154 0.212 1
Mn4 Mn 0.326 0.646 0.987 1
Mn5 Mn 0.673 0.351 0.487 1
V1 V 0.828 0.645 0.215 1
V2 V 0.334 0.147 0.213 1
V3 V 0.186 0.862 0.713 1
Li1 Li 0.339 0.667 0.397 1
Li2 Li 0.986 0.972 0.994 1
Li3 Li 0.997 0.021 0.495 1
Li4 Li 0.671 0.336 0.896 1
```


Li2MnV3O8: optimized geometry, GGA+U.

Computed properties:
Size of the total moment in μB/f.u.: 8.00
Excess energy over the best structure of this formula in the dataset in meV/atom: 24
ΔE_f in meV per atom: -2414

```
data_Li2MnV3O8
_chemical_formula_sum 'Li2 Mn1 V3 O8'
_space_group_name_H-M_alt 'P 1'
_space_group_IT_number 1
_cell_length_a 6.042
_cell_length_b 6.042
_cell_length_c 6.042
_cell_angle_alpha 59.11
_cell_angle_beta 59.11
_cell_angle_gamma 59.11
loop_
_space_group_symop_operation_xyz
'x,y,z'
loop_
_atom_site_label
_atom_site_type_symbol
_atom_site_fract_x
_atom_site_fract_y
_atom_site_fract_z
_atom_site_occupancy
O1 O 0.749 0.749 0.294 1
O2 O 0.294 0.749 0.749 1
O3 O 0.740 0.740 0.740 1
O4 O 0.248 0.710 0.248 1
O5 O 0.749 0.294 0.749 1
O6 O 0.248 0.248 0.710 1
O7 O 0.260 0.260 0.260 1
O8 O 0.710 0.248 0.248 1
Li1 Li 0.120 0.120 0.120 1
Li2 Li 0.502 0.502 0.502 1
Mn1 Mn 0.878 0.878 0.878 1
V1 V 0.498 0.007 0.498 1
V2 V 0.498 0.498 0.007 1
V3 V 0.007 0.498 0.498 1
```